Density functional theory data (PBE) for a relaxed SnC8S6N2 crystal.

Structure (CIF):
```
data_SnC8S6N2
_chemical_formula_sum 'Sn8 C64 S48 N16'
_cell_length_a 24.746
_cell_length_b 13.477
_cell_length_c 9.557
_cell_angle_alpha 90.00
_cell_angle_beta 94.85
_cell_angle_gamma 90.00
_symmetry_space_group_name_H-M 'C 1 2/m 1'
_symmetry_Int_Tables_number 12
loop_
_symmetry_equiv_pos_as_xyz
'x,y,z'
'-x,-y,-z'
'-x,y,-z'
'x,-y,z'
'x+1/2,y+1/2,z'
'-x+1/2,-y+1/2,-z'
'-x+1/2,y+1/2,-z'
'x+1/2,-y+1/2,z'
loop_
_atom_site_label
_atom_site_type_symbol
_atom_site_fract_x
_atom_site_fract_y
_atom_site_fract_z
Sn1 Sn 0.000 0.000 0.000
Sn2 Sn 0.000 0.500 0.000
Sn3 Sn 0.250 0.250 0.500
C1 C 0.095 0.234 0.049
C2 C 0.110 0.500 0.556
C3 C 0.121 0.000 0.692
C4 C 0.136 0.066 0.582
C5 C 0.139 0.261 0.884
C6 C 0.143 0.414 0.527
C7 C 0.153 0.262 0.040
C8 C 0.157 0.500 0.436
C9 C 0.167 0.000 0.503
C10 C 0.194 0.293 0.125
S1 S 0.030 0.302 0.807
S2 S 0.066 0.158 0.153
S3 S 0.090 0.500 0.058
S4 S 0.102 0.000 0.851
S5 S 0.143 0.292 0.530
S6 S 0.222 0.104 0.319
S7 S 0.242 0.343 0.217
N1 N 0.084 0.265 0.907
N2 N 0.098 0.500 0.395
N3 N 0.200 0.000 0.404
```

Calculated formation energy in meV per atom: 957.6
Final energy in eV for the cell shown: -818.64
Energy relative to the lowest polymorph listed for this composition in meV per atom: 354.7

---

Density functional theory data (PBE) for a relaxed MgTiZnBi2O6 crystal.

Structure (CIF):
```
data_MgTiZnBi2O6
_chemical_formula_sum 'Mg1 Ti1 Zn1 Bi2 O6'
_cell_length_a 3.760
_cell_length_b 3.760
_cell_length_c 12.148
_cell_angle_alpha 90.00
_cell_angle_beta 90.00
_cell_angle_gamma 90.00
_symmetry_space_group_name_H-M 'P 4 m m'
_symmetry_Int_Tables_number 99
loop_
_symmetry_equiv_pos_as_xyz
'x,y,z'
'-y,x,z'
'-x,-y,z'
'y,-x,z'
'-x,y,z'
'y,x,z'
'x,-y,z'
'-y,-x,z'
loop_
_atom_site_label
_atom_site_type_symbol
_atom_site_fract_x
_atom_site_fract_y
_atom_site_fract_z
Mg1 Mg 0.000 0.000 0.000
Ti1 Ti 0.500 0.500 0.877
Zn1 Zn 0.500 0.500 0.442
Bi1 Bi 0.000 0.000 0.251
Bi2 Bi 0.000 0.000 0.613
O1 O 0.000 0.500 0.514
O2 O 0.000 0.500 0.932
O3 O 0.500 0.500 0.275
O4 O 0.500 0.500 0.736
```

Calculated formation energy in meV per atom: -2130.9
Final energy in eV for the cell shown: -67.54
Energy relative to the lowest polymorph listed for this composition in meV per atom: 16.4

---

> calculated formation energy of number 2 (MgTiZnBi2O6)?

-2130.9 meV per atom

---

> What is the calculated formation energy in the first record?

957.6 meV per atom

---

Copy entry 2 word for word.
Density functional theory data (PBE) for a relaxed MgTiZnBi2O6 crystal.

Structure (CIF):
```
data_MgTiZnBi2O6
_chemical_formula_sum 'Mg1 Ti1 Zn1 Bi2 O6'
_cell_length_a 3.760
_cell_length_b 3.760
_cell_length_c 12.148
_cell_angle_alpha 90.00
_cell_angle_beta 90.00
_cell_angle_gamma 90.00
_symmetry_space_group_name_H-M 'P 4 m m'
_symmetry_Int_Tables_number 99
loop_
_symmetry_equiv_pos_as_xyz
'x,y,z'
'-y,x,z'
'-x,-y,z'
'y,-x,z'
'-x,y,z'
'y,x,z'
'x,-y,z'
'-y,-x,z'
loop_
_atom_site_label
_atom_site_type_symbol
_atom_site_fract_x
_atom_site_fract_y
_atom_site_fract_z
Mg1 Mg 0.000 0.000 0.000
Ti1 Ti 0.500 0.500 0.877
Zn1 Zn 0.500 0.500 0.442
Bi1 Bi 0.000 0.000 0.251
Bi2 Bi 0.000 0.000 0.613
O1 O 0.000 0.500 0.514
O2 O 0.000 0.500 0.932
O3 O 0.500 0.500 0.275
O4 O 0.500 0.500 0.736
```

Calculated formation energy in meV per atom: -2130.9
Final energy in eV for the cell shown: -67.54
Energy relative to the lowest polymorph listed for this composition in meV per atom: 16.4